[1]
Li7Mn2Co3O12 | PBE+U | optimized geometry

space-group type	P1
spin magnetization	0.333	μB per atom
final energy	-5.846	eV per atom

a = 2.940 Å, b = 8.261 Å, c = 9.825 Å
α = 114.50°, β = 92.65°, γ = 89.56°
Positions (direct):
O (0.013, 0.764, 0.008)
O (0.506, 0.592, 0.180)
O (0.023, 0.231, 0.979)
O (0.525, 0.934, 0.842)
O (0.987, 0.092, 0.685)
O (0.967, 0.579, 0.654)
O (0.489, 0.725, 0.491)
O (0.484, 0.077, 0.153)
O (0.026, 0.427, 0.344)
O (0.991, 0.910, 0.331)
O (0.498, 0.399, 0.835)
O (0.500, 0.274, 0.496)
Li (0.987, 0.343, 0.674)
Li (0.505, 0.647, 0.827)
Li (0.488, 0.341, 0.177)
Li (0.994, 0.827, 0.664)
Li (0.013, 0.499, 0.992)
Li (0.993, 0.173, 0.335)
Li (0.508, 0.008, 0.498)
Co (0.497, 0.490, 0.505)
Co (0.995, 0.664, 0.334)
Co (0.503, 0.834, 0.171)
Mn (0.506, 0.173, 0.827)
Mn (0.004, 0.998, 0.998)


[2]
Li7Mn4CoO12 | PBE+U | optimized geometry

space-group type	P-1
spin magnetization	0.583	μB per atom
final energy	-6.206	eV per atom

a = 2.871 Å, b = 9.845 Å, c = 15.693 Å
α = 82.88°, β = 90.05°, γ = 98.29°
Positions (direct):
O (0.056, 0.114, 0.779)
O (0.191, 0.379, 0.637)
O (0.806, 0.614, 0.365)
O (0.552, 0.106, 0.937)
O (0.944, 0.888, 0.244)
O (0.556, 0.112, 0.589)
O (0.812, 0.620, 0.697)
O (0.322, 0.614, 0.866)
O (0.053, 0.106, 0.437)
O (0.309, 0.621, 0.196)
O (0.444, 0.886, 0.054)
O (0.944, 0.886, 0.554)
O (0.694, 0.386, 0.468)
O (0.443, 0.888, 0.744)
O (0.688, 0.380, 0.136)
O (0.692, 0.384, 0.805)
O (0.192, 0.384, 0.304)
O (0.556, 0.114, 0.280)
O (0.948, 0.894, 0.896)
O (0.057, 0.112, 0.089)
O (0.308, 0.616, 0.529)
O (0.808, 0.616, 0.029)
O (0.178, 0.386, 0.967)
O (0.447, 0.894, 0.396)
Mn (0.249, 0.497, 0.081)
Mn (0.251, 0.503, 0.752)
Mn (0.002, 0.002, 0.004)
Mn (0.999, 0.998, 0.330)
Mn (0.749, 0.497, 0.582)
Mn (0.498, 0.998, 0.830)
Mn (0.501, 0.002, 0.504)
Mn (0.751, 0.503, 0.252)
Li (0.380, 0.758, 0.290)
Li (0.621, 0.242, 0.042)
Li (0.627, 0.254, 0.373)
Li (0.120, 0.242, 0.543)
Li (0.500, 0.000, 0.167)
Li (0.878, 0.756, 0.130)
Li (0.127, 0.254, 0.873)
Li (0.122, 0.244, 0.203)
Li (0.622, 0.244, 0.704)
Li (0.378, 0.756, 0.630)
Li (0.879, 0.758, 0.791)
Li (0.373, 0.746, 0.960)
Li (0.873, 0.746, 0.461)
Li (0.000, 0.000, 0.667)
Co (0.250, 0.500, 0.417)
Co (0.750, 0.500, 0.917)